Entry 1:
VASP calculation (PBE) on a relaxed structure of NdSmIr2.

a = 4.989 Å, b = 4.989 Å, c = 4.989 Å
α = 60.00°, β = 60.00°, γ = 60.00°
Fractional coordinates of all 4 atoms:
Sm 0.000 0.000 0.000
Ir 0.250 0.250 0.250
Ir 0.750 0.750 0.750
Nd 0.500 0.500 0.500



Entry 2:
VASP calculation (PBE) on a relaxed structure of In2Ni21P6.

a = 7.844 Å, b = 7.844 Å, c = 7.844 Å
α = 60.00°, β = 60.00°, γ = 60.00°
Fractional coordinates of all 29 atoms:
Ni 0.384 0.847 0.384
Ni 0.616 0.616 0.153
Ni 0.348 0.652 0.000
Ni 0.153 0.616 0.616
Ni 0.000 0.652 0.348
Ni 0.000 0.652 0.000
Ni 0.616 0.153 0.616
Ni 0.616 0.616 0.616
Ni 0.000 0.348 0.652
Ni 0.000 0.000 0.348
Ni 0.652 0.000 0.000
Ni 0.348 0.000 0.000
Ni 0.652 0.000 0.348
Ni 0.000 0.348 0.000
Ni 0.652 0.348 0.000
Ni 0.847 0.384 0.384
Ni 0.000 0.000 0.652
Ni 0.384 0.384 0.384
Ni 0.348 0.000 0.652
Ni 0.384 0.384 0.847
Ni 0.000 0.000 0.000
In 0.250 0.250 0.250
In 0.750 0.750 0.750
P 0.738 0.738 0.262
P 0.262 0.738 0.262
P 0.738 0.262 0.738
P 0.738 0.262 0.262
P 0.262 0.262 0.738
P 0.262 0.738 0.738



Entry 3:
VASP calculation (PBE) on a relaxed structure of BaSrTbSbO6.

Summary:
* distance to the lowest polymorph of the same formula: 0.000 eV/atom

a = 5.976 Å, b = 5.977 Å, c = 8.444 Å
α = 90.22°, β = 89.80°, γ = 89.80°
Fractional coordinates of all 20 atoms:
O 0.066 0.500 0.235
O 0.213 0.242 0.972
O 0.453 0.977 0.264
O 0.934 0.500 0.765
O 0.737 0.292 0.034
O 0.242 0.214 0.524
O 0.758 0.786 0.476
O 0.295 0.734 0.532
O 0.705 0.266 0.468
O 0.787 0.758 0.028
O 0.547 0.023 0.736
O 0.263 0.708 0.966
Sb 0.000 0.500 0.000
Sb 0.500 0.000 0.500
Ba 0.004 0.985 0.750
Ba 0.996 0.015 0.250
Sr 0.497 0.475 0.749
Sr 0.503 0.525 0.251
Tb 0.500 0.000 0.000
Tb 0.000 0.500 0.500



Entry 4:
VASP calculation (PBE) on a relaxed structure of Ag7P3S11.

a = 12.643 Å, b = 12.643 Å, c = 24.871 Å
α = 69.92°, β = 69.92°, γ = 29.51°
Fractional coordinates of all 84 atoms:
S 0.483 0.189 0.058
S 0.829 0.071 0.962
S 0.517 0.811 0.942
S 0.148 0.511 0.704
S 0.047 0.286 0.721
S 0.820 0.508 0.577
S 0.620 0.393 0.091
S 0.407 0.777 0.710
S 0.953 0.714 0.279
S 0.300 0.868 0.409
S 0.180 0.492 0.423
S 0.868 0.300 0.909
S 0.715 0.934 0.492
S 0.508 0.820 0.077
S 0.607 0.380 0.409
S 0.171 0.929 0.038
S 0.934 0.715 0.992
S 0.852 0.489 0.296
S 0.714 0.953 0.779
S 0.059 0.460 0.848
S 0.811 0.517 0.442
S 0.195 0.783 0.184
S 0.777 0.407 0.210
S 0.593 0.223 0.290
S 0.941 0.540 0.152
S 0.223 0.593 0.790
S 0.071 0.829 0.462
S 0.700 0.132 0.591
S 0.540 0.941 0.652
S 0.489 0.852 0.796
S 0.929 0.171 0.538
S 0.805 0.217 0.816
S 0.132 0.700 0.091
S 0.492 0.180 0.923
S 0.393 0.620 0.591
S 0.066 0.285 0.008
S 0.783 0.195 0.684
S 0.286 0.047 0.221
S 0.380 0.607 0.909
S 0.460 0.059 0.348
S 0.217 0.805 0.316
S 0.511 0.148 0.204
S 0.285 0.066 0.508
S 0.189 0.483 0.558
Ag 0.701 0.818 0.433
Ag 0.559 0.949 0.145
Ag 0.182 0.299 0.067
Ag 0.601 0.179 0.401
Ag 0.174 0.645 0.318
Ag 0.949 0.559 0.645
Ag 0.355 0.826 0.182
Ag 0.915 0.267 0.394
Ag 0.818 0.701 0.933
Ag 0.550 0.108 0.686
Ag 0.733 0.085 0.106
Ag 0.108 0.550 0.186
Ag 0.267 0.915 0.894
Ag 0.892 0.450 0.814
Ag 0.821 0.399 0.099
Ag 0.214 0.832 0.813
Ag 0.645 0.174 0.818
Ag 0.441 0.051 0.855
Ag 0.826 0.355 0.682
Ag 0.450 0.892 0.314
Ag 0.179 0.601 0.901
Ag 0.832 0.214 0.313
Ag 0.399 0.821 0.599
Ag 0.051 0.441 0.355
Ag 0.085 0.733 0.606
Ag 0.168 0.786 0.687
Ag 0.786 0.168 0.187
Ag 0.299 0.182 0.567
P 0.039 0.627 0.779
P 0.955 0.328 0.518
P 0.045 0.672 0.482
P 0.961 0.373 0.221
P 0.690 0.290 0.606
P 0.290 0.690 0.106
P 0.710 0.310 0.894
P 0.627 0.039 0.279
P 0.310 0.710 0.394
P 0.328 0.955 0.018
P 0.373 0.961 0.721
P 0.672 0.045 0.982



Entry 5:
VASP calculation (PBE) on a relaxed structure of TiCrTc2.

a = 4.299 Å, b = 4.299 Å, c = 4.299 Å
α = 60.00°, β = 60.00°, γ = 60.00°
Fractional coordinates of all 4 atoms:
Ti 0.000 0.000 0.000
Tc 0.250 0.250 0.250
Tc 0.750 0.750 0.750
Cr 0.500 0.500 0.500



Entry 6:
VASP calculation (PBE) on a relaxed structure of Ba2SmPaO6.

a = 6.356 Å, b = 6.356 Å, c = 6.356 Å
α = 60.00°, β = 60.00°, γ = 60.00°
Fractional coordinates of all 10 atoms:
O 0.243 0.757 0.757
O 0.243 0.757 0.243
O 0.757 0.757 0.243
O 0.757 0.243 0.243
O 0.243 0.243 0.757
O 0.757 0.243 0.757
Ba 0.250 0.250 0.250
Ba 0.750 0.750 0.750
Pa 0.000 0.000 0.000
Sm 0.500 0.500 0.500



Entry 7:
VASP calculation (PBE) on a relaxed structure of Sr18ThCl40.

a = 4.974 Å, b = 4.974 Å, c = 94.938 Å
α = 60.14°, β = 60.14°, γ = 60.00°
Fractional coordinates of all 59 atoms:
Cl 0.750 0.750 0.250
Cl 0.250 0.250 0.750
Cl 0.753 0.753 0.039
Cl 0.750 0.750 0.513
Cl 0.520 0.520 0.023
Cl 0.749 0.749 0.145
Cl 0.750 0.750 0.618
Cl 0.750 0.750 0.303
Cl 0.250 0.250 0.276
Cl 0.250 0.250 0.645
Cl 0.758 0.758 0.933
Cl 0.251 0.251 0.855
Cl 0.251 0.251 0.908
Cl 0.250 0.250 0.329
Cl 0.250 0.250 0.487
Cl 0.250 0.250 0.592
Cl 0.250 0.250 0.382
Cl 0.250 0.250 0.697
Cl 0.750 0.750 0.408
Cl 0.250 0.250 0.540
Cl 0.250 0.250 0.803
Cl 0.248 0.248 0.119
Cl 0.242 0.242 0.067
Cl 0.250 0.250 0.171
Cl 0.752 0.752 0.881
Cl 0.749 0.749 0.092
Cl 0.248 0.248 0.013
Cl 0.752 0.752 0.987
Cl 0.750 0.750 0.355
Cl 0.750 0.750 0.671
Cl 0.247 0.247 0.961
Cl 0.250 0.250 0.434
Cl 0.750 0.750 0.566
Cl 0.250 0.250 0.224
Cl 0.750 0.750 0.776
Cl 0.750 0.750 0.460
Cl 0.480 0.480 0.977
Cl 0.750 0.750 0.829
Cl 0.750 0.750 0.724
Cl 0.750 0.750 0.197
Sr 0.000 0.000 0.211
Sr 0.000 0.000 0.526
Sr 0.000 0.000 0.421
Sr 0.997 0.997 0.106
Sr 0.000 0.000 0.368
Sr 0.000 0.000 0.632
Sr 0.000 0.000 0.474
Sr 0.000 0.000 0.684
Sr 0.003 0.003 0.894
Sr 0.000 0.000 0.737
Sr 0.000 0.000 0.842
Sr 0.000 0.000 0.263
Sr 0.000 0.000 0.316
Sr 0.004 0.004 0.947
Sr 0.000 0.000 0.158
Sr 0.000 0.000 0.579
Sr 0.000 0.000 0.789
Sr 0.996 0.996 0.053
Th 0.000 0.000 0.000



Entry 8:
VASP calculation (PBE) on a relaxed structure of Mg2Mn3FeS8.

a = 7.185 Å, b = 7.186 Å, c = 7.186 Å
α = 59.84°, β = 59.85°, γ = 59.85°
Fractional coordinates of all 14 atoms:
S 0.728 0.292 0.728
S 0.272 0.708 0.272
S 0.292 0.728 0.728
S 0.728 0.728 0.292
S 0.263 0.263 0.263
S 0.272 0.272 0.708
S 0.708 0.272 0.272
S 0.737 0.737 0.737
Mn 0.000 0.500 0.500
Mn 0.500 0.500 0.000
Mn 0.500 0.000 0.500
Fe 0.500 0.500 0.500
Mg 0.124 0.124 0.124
Mg 0.876 0.876 0.876



Number 1: calculated total energy -7.3983 eV per atom, V 87.8 Å³ per cell, energy of formation -0.607 eV/atom. Number 2: calculated total energy -5.9049 eV per atom, V 341.2 Å³ per cell, energy of formation -0.409 eV/atom. Number 3: calculated total energy -6.8721 eV per atom, V 301.6 Å³ per cell, energy of formation -3.078 eV/atom. Number 4: calculated total energy -4.0425 eV per atom, V 1830.8 Å³ per cell, energy of formation -0.422 eV/atom. Number 5: calculated total energy -9.8264 eV per atom, V 56.2 Å³ per cell, energy of formation -0.259 eV/atom. Number 6: calculated total energy -8.0469 eV per atom, V 181.6 Å³ per cell, energy of formation -3.683 eV/atom. Number 7: calculated total energy -4.2934 eV per atom, V 1664.7 Å³ per cell, energy of formation -2.815 eV/atom. Number 8: calculated total energy -5.8623 eV per atom, V 261.5 Å³ per cell, energy of formation -0.989 eV/atom.